# 1
# CuH10Se2N2O10

A geometry-optimized CuH10Se2N2O10 structure (GGA-PBE, the Materials Project database).

a = 5.5716 Å, b = 7.5936 Å, c = 7.6843 Å
α = 108.14°, β = 111.06°, γ = 88.29°
Last column: nearest neighbours and their distance in Å.
Fractional coordinates of all 25 atoms:
Cu 0.5000 0.5000 0.0000  4 O 1.80-1.92
H 0.2736 0.2698 0.4753  1 N 1.03
H 0.7264 0.7302 0.5247  1 N 1.03
H 0.1214 0.1041 0.2558  1 N 1.04
H 0.8786 0.8959 0.7442  1 N 1.04
H 0.9562 0.2078 0.3983  1 N 1.04
H 0.0438 0.7922 0.6017  1 N 1.04
H 0.0630 0.3336 0.2870  1 N 1.04
H 0.9370 0.6664 0.7130  1 N 1.04
H 0.2823 0.2363 0.9863  1 O 1.01
H 0.7177 0.7637 0.0137  1 O 1.01
Se 0.1723 0.7139 0.2646  4 O 1.66-1.75
Se 0.8277 0.2861 0.7354  4 O 1.66-1.75
N 0.1053 0.2298 0.3532  4 H 1.03-1.04
N 0.8947 0.7702 0.6468  4 H 1.03-1.04
O 0.0396 0.8421 0.1197  1 Se 1.66, 1 H 1.72
O 0.9604 0.1579 0.8803  1 Se 1.66, 1 H 1.72
O 0.2721 0.8372 0.5018  1 Se 1.66, 1 H 1.79
O 0.7279 0.1628 0.4982  1 Se 1.66, 1 H 1.79
O 0.9681 0.5312 0.2079  1 Se 1.66, 1 H 1.79
O 0.0319 0.4688 0.7921  1 Se 1.66, 1 H 1.79
O 0.4618 0.6361 0.2437  1 Se 1.75, 1 Cu 1.92
O 0.5382 0.3639 0.7563  1 Se 1.75, 1 Cu 1.92
O 0.4709 0.2860 0.0482  1 H 1.01
O 0.5291 0.7140 0.9518  1 H 1.01



# 2
# CuH20Se2N2O14

A geometry-optimized CuH20Se2N2O14 structure (GGA-PBE, the Materials Project database).

a = 12.6735 Å, b = 6.5893 Å, c = 9.3093 Å
α = 74.12°, β = 90.00°, γ = 90.00°
Last column: nearest neighbours and their distance in Å.
Fractional coordinates of all 78 atoms:
Cu 0.5000 0.5000 0.0000  4 O 2.02-2.05
Cu 0.0000 0.5000 0.5000  4 O 2.02-2.05
H 0.5568 0.8137 0.1018  1 O 1.00
H 0.0568 0.1863 0.3982  1 O 1.00
H 0.4432 0.1863 0.8982  1 O 1.00
H 0.9432 0.8137 0.6018  1 O 1.00
H 0.6410 0.8136 0.9752  1 O 1.00
H 0.1410 0.1864 0.5248  1 O 1.00
H 0.3590 0.1864 0.0248  1 O 1.00
H 0.8590 0.8136 0.4752  1 O 1.00
H 0.6802 0.4888 0.8706  1 O 0.99
H 0.1802 0.5112 0.6294  1 O 0.99
H 0.3198 0.5112 0.1294  1 O 0.99
H 0.8198 0.4888 0.3706  1 O 0.99
H 0.5923 0.5598 0.7424  1 O 1.01
H 0.0923 0.4402 0.7576  1 O 1.01
H 0.4077 0.4402 0.2576  1 O 1.01
H 0.9077 0.5598 0.2424  1 O 1.01
H 0.5906 0.1722 0.2141  1 O 0.99
H 0.0906 0.8278 0.2859  1 O 0.99
H 0.4094 0.8278 0.7859  1 O 0.99
H 0.9094 0.1722 0.7141  1 O 0.99
H 0.6257 0.3769 0.2607  1 O 0.98
H 0.1257 0.6231 0.2393  1 O 0.98
H 0.3743 0.6231 0.7393  1 O 0.98
H 0.8743 0.3769 0.7607  1 O 0.98
H 0.5803 0.1262 0.6646  1 N 1.04
H 0.0803 0.8738 0.8354  1 N 1.04
H 0.4197 0.8738 0.3354  1 N 1.04
H 0.9197 0.1262 0.1646  1 N 1.04
H 0.7056 0.1069 0.7303  1 N 1.03
H 0.2056 0.8931 0.7697  1 N 1.03
H 0.2944 0.8931 0.2697  1 N 1.03
H 0.7944 0.1069 0.2303  1 N 1.03
H 0.6738 0.2930 0.5688  1 N 1.04
H 0.1738 0.7070 0.9312  1 N 1.04
H 0.3262 0.7070 0.4312  1 N 1.04
H 0.8262 0.2930 0.0688  1 N 1.04
H 0.6807 0.0380 0.5725  1 N 1.04
H 0.1807 0.9620 0.9275  1 N 1.04
H 0.3193 0.9620 0.4275  1 N 1.04
H 0.8193 0.0380 0.0725  1 N 1.04
Se 0.6352 0.7503 0.4193  4 O 1.66-1.69
Se 0.1352 0.2497 0.0807  4 O 1.66-1.69
Se 0.3648 0.2497 0.5807  4 O 1.66-1.69
Se 0.8648 0.7503 0.9193  4 O 1.66-1.69
N 0.6599 0.1409 0.6354  4 H 1.03-1.04
N 0.1599 0.8591 0.8646  4 H 1.03-1.04
N 0.3401 0.8591 0.3646  4 H 1.03-1.04
N 0.8401 0.1409 0.1354  4 H 1.03-1.04
O 0.6831 0.5213 0.3983  1 Se 1.69, 2 H 1.77-1.87
O 0.1831 0.4787 0.1017  1 Se 1.69, 2 H 1.77-1.87
O 0.3169 0.4787 0.6017  1 Se 1.69, 2 H 1.77-1.87
O 0.8169 0.5213 0.8983  1 Se 1.69, 2 H 1.77-1.87
O 0.5588 0.8731 0.2741  1 Se 1.68, 2 H 1.75-1.85
O 0.0588 0.1269 0.2259  1 Se 1.68, 2 H 1.75-1.85
O 0.4412 0.1269 0.7259  1 Se 1.68, 2 H 1.75-1.85
O 0.9412 0.8731 0.7741  1 Se 1.68, 2 H 1.75-1.85
O 0.7371 0.9120 0.4256  1 Se 1.69, 1 H 1.69
O 0.2371 0.0880 0.0744  1 Se 1.69, 1 H 1.69
O 0.2629 0.0880 0.5744  1 Se 1.69, 1 H 1.69
O 0.7629 0.9120 0.9256  1 Se 1.69, 1 H 1.69
O 0.5651 0.7126 0.5753  1 H 1.64, 1 Se 1.66
O 0.0651 0.2874 0.9247  1 H 1.64, 1 Se 1.66
O 0.4349 0.2874 0.4247  1 H 1.64, 1 Se 1.66
O 0.9349 0.7126 0.0753  1 H 1.64, 1 Se 1.66
O 0.5651 0.7832 0.0034  2 H 1.00
O 0.0651 0.2168 0.4966  2 H 1.00
O 0.4349 0.2168 0.9966  2 H 1.00
O 0.9349 0.7832 0.5034  2 H 1.00
O 0.6058 0.4654 0.8454  2 H 0.99-1.01
O 0.1058 0.5346 0.6546  2 H 0.99-1.01
O 0.3942 0.5346 0.1546  2 H 0.99-1.01
O 0.8942 0.4654 0.3454  2 H 0.99-1.01
O 0.6197 0.3157 0.1757  2 H 0.98-0.99
O 0.1197 0.6843 0.3243  2 H 0.98-0.99
O 0.3803 0.6843 0.8243  2 H 0.98-0.99
O 0.8803 0.3157 0.6757  2 H 0.98-0.99



# 3
# Na4CuP6H8O22

A geometry-optimized Na4CuP6H8O22 structure (GGA-PBE, the Materials Project database).

a = 7.1848 Å, b = 8.0129 Å, c = 8.4293 Å
α = 84.20°, β = 77.84°, γ = 81.97°
Last column: nearest neighbours and their distance in Å.
Fractional coordinates of all 41 atoms:
Na 0.6432 0.5787 0.7963  6 O 2.37-2.57
Na 0.3568 0.4213 0.2037  6 O 2.37-2.57
Na 0.8984 0.6892 0.4063  5 O 2.41-2.69, 1 H 2.58
Na 0.1016 0.3108 0.5937  5 O 2.41-2.69, 1 H 2.58
Cu 0.0000 0.0000 0.0000  4 O 1.97-2.04
P 0.5582 0.7916 0.1650  4 O 1.49-1.64
P 0.4418 0.2084 0.8350  4 O 1.49-1.64
P 0.7839 0.9847 0.7044  4 O 1.49-1.63
P 0.2161 0.0153 0.2956  4 O 1.49-1.63
P 0.6627 0.2895 0.5094  4 O 1.50-1.64
P 0.3373 0.7105 0.4906  4 O 1.50-1.64
H 0.7685 0.2118 0.1843  1 O 1.00
H 0.2315 0.7882 0.8157  1 O 1.00
H 0.7422 0.2473 0.0012  1 O 1.00
H 0.2578 0.7527 0.9988  1 O 1.00
H 0.0307 0.5887 0.8149  1 O 0.98
H 0.9693 0.4113 0.1851  1 O 0.98
H 0.9607 0.6004 0.1117  1 O 0.98
H 0.0393 0.3996 0.8883  1 O 0.98
O 0.5324 0.3180 0.9255  1 P 1.51
O 0.4676 0.6820 0.0745  1 P 1.51
O 0.7642 0.8157 0.1069  1 P 1.49
O 0.2358 0.1843 0.8931  1 P 1.49
O 0.5697 0.0245 0.8146  2 P 1.63
O 0.4303 0.9755 0.1854  2 P 1.63
O 0.5379 0.7189 0.3564  2 P 1.64
O 0.4622 0.2811 0.6436  2 P 1.64
O 0.9280 0.0577 0.7781  1 P 1.52
O 0.0720 0.9423 0.2219  1 P 1.52
O 0.8156 0.8034 0.6692  1 P 1.49
O 0.1844 0.1966 0.3308  1 P 1.49
O 0.7666 0.0968 0.5363  2 P 1.62-1.63
O 0.2334 0.9032 0.4637  2 P 1.62-1.63
O 0.7778 0.4134 0.5538  1 P 1.50
O 0.2222 0.5866 0.4462  1 P 1.50
O 0.6147 0.3044 0.3436  1 P 1.50
O 0.3853 0.6956 0.6564  1 P 1.50
O 0.8412 0.2104 0.0690  2 H 1.00
O 0.1588 0.7896 0.9310  2 H 1.00
O 0.9729 0.4837 0.8198  2 H 0.98
O 0.0271 0.5163 0.1802  2 H 0.98



# 4
# Na2CuH4S2O10

A geometry-optimized Na2CuH4S2O10 structure (GGA-PBE, the Materials Project database).

a = 12.8326 Å, b = 5.6409 Å, c = 5.8807 Å
α = 70.28°, β = 90.00°, γ = 90.00°
Last column: nearest neighbours and their distance in Å.
Fractional coordinates of all 38 atoms:
Na 0.6235 0.2884 0.5692  7 O 2.44-2.61
Na 0.1235 0.2116 0.4308  7 O 2.44-2.61
Na 0.3765 0.7116 0.4308  7 O 2.44-2.61
Na 0.8765 0.7884 0.5692  7 O 2.44-2.61
Cu 0.5000 0.5000 0.0000  4 O 1.97-1.99
Cu 0.0000 0.0000 0.0000  4 O 1.97-1.99
H 0.6990 0.5155 0.9285  1 O 1.00
H 0.1990 0.9845 0.0715  1 O 1.00
H 0.3010 0.4845 0.0715  1 O 1.00
H 0.8010 0.0155 0.9285  1 O 1.00
H 0.6446 0.7163 0.7024  1 O 1.00
H 0.1446 0.7837 0.2976  1 O 1.00
H 0.3554 0.2837 0.2976  1 O 1.00
H 0.8554 0.2163 0.7024  1 O 1.00
S 0.6193 0.9550 0.2396  4 O 1.47-1.52
S 0.1193 0.5450 0.7604  4 O 1.47-1.52
S 0.3807 0.0450 0.7604  4 O 1.47-1.52
S 0.8807 0.4550 0.2396  4 O 1.47-1.52
O 0.6756 0.0144 0.0087  1 S 1.47
O 0.1756 0.4856 0.9913  1 S 1.47
O 0.3244 0.9856 0.9913  1 S 1.47
O 0.8244 0.5144 0.0087  1 S 1.47
O 0.5583 0.7186 0.2933  1 S 1.49
O 0.0583 0.7814 0.7067  1 S 1.49
O 0.4417 0.2814 0.7067  1 S 1.49
O 0.9417 0.2186 0.2933  1 S 1.49
O 0.5447 0.1677 0.2320  1 S 1.52
O 0.0447 0.3323 0.7680  1 S 1.52
O 0.4553 0.8323 0.7680  1 S 1.52
O 0.9553 0.6677 0.2320  1 S 1.52
O 0.6915 0.9341 0.4457  1 S 1.50
O 0.1915 0.5659 0.5543  1 S 1.50
O 0.3085 0.0659 0.5543  1 S 1.50
O 0.8085 0.4341 0.4457  1 S 1.50
O 0.6340 0.5469 0.8282  2 H 1.00
O 0.1340 0.9531 0.1718  2 H 1.00
O 0.3660 0.4531 0.1718  2 H 1.00
O 0.8660 0.0469 0.8282  2 H 1.00



# 5
# Na2CuH2S2O8

A geometry-optimized Na2CuH2S2O8 structure (GGA-PBE, the Materials Project database).

a = 12.4183 Å, b = 5.3034 Å, c = 5.9236 Å
α = 66.67°, β = 90.00°, γ = 90.00°
Last column: nearest neighbours and their distance in Å.
Fractional coordinates of all 30 atoms:
Na 0.8689 0.7568 0.5740  6 O 2.32-2.58
Na 0.1311 0.2432 0.4260  6 O 2.32-2.58
Na 0.3689 0.7432 0.4260  6 O 2.32-2.58
Na 0.6311 0.2568 0.5740  6 O 2.32-2.58
Cu 0.0000 0.0000 0.0000  2 H 1.55
Cu 0.5000 0.5000 0.0000  2 H 1.55
H 0.3893 0.4707 0.1291  1 Cu 1.55
H 0.6107 0.5293 0.8709  1 Cu 1.55
H 0.8893 0.0293 0.8709  1 Cu 1.55
H 0.1107 0.9707 0.1291  1 Cu 1.55
S 0.6187 0.9352 0.2257  4 O 1.45-1.56
S 0.3813 0.0648 0.7743  4 O 1.45-1.56
S 0.1187 0.5648 0.7743  4 O 1.45-1.56
S 0.8813 0.4352 0.2257  4 O 1.45-1.56
O 0.8276 0.5268 0.9884  1 S 1.45
O 0.1724 0.4732 0.0116  1 S 1.45
O 0.3276 0.9732 0.0116  1 S 1.45
O 0.6724 0.0268 0.9884  1 S 1.45
O 0.9573 0.6622 0.2430  1 S 1.56
O 0.0427 0.3378 0.7570  1 S 1.56
O 0.4573 0.8378 0.7570  1 S 1.56
O 0.5427 0.1622 0.2430  1 S 1.56
O 0.5478 0.6911 0.2707  1 S 1.50
O 0.4522 0.3089 0.7293  1 S 1.50
O 0.0478 0.8089 0.7293  1 S 1.50
O 0.9522 0.1911 0.2707  1 S 1.50
O 0.6914 0.8721 0.4381  1 S 1.47
O 0.3086 0.1279 0.5619  1 S 1.47
O 0.1914 0.6279 0.5619  1 S 1.47
O 0.8086 0.3721 0.4381  1 S 1.47



Number 1: corrected total energy (MP2020 scheme) -5.306 eV per atom, DFT total energy -125.8 eV/cell, calculated formation energy -0.8590 eV/atom. Number 2: corrected total energy (MP2020 scheme) -5.293 eV per atom, DFT total energy -393.6 eV/cell, calculated formation energy -1.0649 eV/atom. Number 3: corrected total energy (MP2020 scheme) -6.483 eV per atom, DFT total energy -250.7 eV/cell, calculated formation energy -2.1447 eV/atom. Number 4: corrected total energy (MP2020 scheme) -5.819 eV per atom, DFT total energy -207.4 eV/cell, calculated formation energy -1.7099 eV/atom. Number 5: corrected total energy (MP2020 scheme) -5.500 eV per atom, DFT total energy -154.0 eV/cell, calculated formation energy -1.4078 eV/atom.